The following is a PBE-GGA calculation of an optimized crystal structure of Tl2GePbS4, from Materials Project.

Values from the calculation:
Formation enthalpy at 0 K = -703 meV per atom

a b c (Å): 10.6628 9.2424 9.0535
angles (deg): 90.00 94.19 90.00
Space group P2_1/c (No. 14)
Symmetry-distinct sites (fractional):
Tl 0.0533 0.1924 0.0594
Tl 0.2288 0.6081 0.9005
Ge 0.2609 0.0266 0.7922
Pb 0.4462 0.1937 0.1019
S 0.0795 0.5351 0.1770
S 0.2661 0.2285 0.3164
S 0.2943 0.5609 0.5225
S 0.4239 0.5312 0.1604